# 1
Entry from the Materials Project database: a geometry-optimized SmTmTl2 structure (GGA-PBE).

Its energy of formation from the pure elements is -334 meV per atom.

It has space group Fm-3m (No. 225), with a = 7.631 Å, b = 7.631 Å, c = 7.631 Å, α = 90.00°, β = 90.00° and γ = 90.00°. The inequivalent atoms are Sm at (0.000, 0.000, 0.000), Tm at (0.000, 0.000, 0.500) and Tl at (0.250, 0.250, 0.250).


# 2
Entry from the Materials Project database: a geometry-optimized SmYTl2 structure (GGA-PBE).

Its energy of formation from the pure elements is -380 meV per atom.

It has space group Fm-3m (No. 225), with a = 7.667 Å, b = 7.667 Å, c = 7.667 Å, α = 90.00°, β = 90.00° and γ = 90.00°. The inequivalent atoms are Sm at (0.000, 0.000, 0.000), Y at (0.000, 0.000, 0.500) and Tl at (0.250, 0.250, 0.250).


# 3
Entry from the Materials Project database: a geometry-optimized SmTm3 structure (GGA-PBE).

The calculation puts the energy relative to the lowest polymorph listed for this composition at 0.000 eV per formula unit. Its energy of formation from the pure elements is 12 meV per atom.

It has space group P6_3/mmc (No. 194), with a = 7.1784 Å, b = 7.1784 Å, c = 5.5917 Å, α = 90.00°, β = 90.00° and γ = 120.00°. The inequivalent atoms are Sm at (0.3333, 0.6667, 0.2500) and Tm at (0.1658, 0.3315, 0.7500).


# 4
Entry from the Materials Project database: a geometry-optimized Sm3Tm structure (GGA-PBE).

The calculation puts the energy relative to the lowest polymorph listed for this composition at 0.034 eV per formula unit. Its energy of formation from the pure elements is 20 meV per atom.

It has space group P6_3/mmc (No. 194), with a = 7.2876 Å, b = 7.2876 Å, c = 5.7720 Å, α = 90.00°, β = 90.00° and γ = 120.00°. The inequivalent atoms are Sm at (0.1671, 0.3342, 0.2500) and Tm at (0.3333, 0.6667, 0.7500).


# 5
Entry from the Materials Project database: a geometry-optimized SmTm3 structure (GGA-PBE).

The calculation puts the energy relative to the lowest polymorph listed for this composition at 0.071 eV per formula unit. Its energy of formation from the pure elements is 29 meV per atom.

It has space group Pm-3m (No. 221), with a = 4.980 Å, b = 4.980 Å, c = 4.980 Å, α = 90.00°, β = 90.00° and γ = 90.00°. The inequivalent atoms are Sm at (0.000, 0.000, 0.000) and Tm at (0.000, 0.500, 0.500).


# 6
Entry from the Materials Project database: a geometry-optimized Sm3Tm structure (GGA-PBE).

The calculation puts the energy relative to the lowest polymorph listed for this composition at 0.032 eV per formula unit. Its energy of formation from the pure elements is 19 meV per atom.

It has space group I4/mmm (No. 139), with a = 5.111 Å, b = 5.111 Å, c = 10.172 Å, α = 90.00°, β = 90.00° and γ = 90.00°. The inequivalent atoms are Sm at (0.000, 0.000, 0.000), Sm at (0.000, 0.500, 0.250) and Tm at (0.000, 0.000, 0.500).


# 7
Entry from the Materials Project database: a geometry-optimized Sm3Tm structure (GGA-PBE).

The calculation puts the energy relative to the lowest polymorph listed for this composition at 0.000 eV per formula unit. Its energy of formation from the pure elements is 11 meV per atom.

It has space group Pm-3m (No. 221), with a = 5.088 Å, b = 5.088 Å, c = 5.088 Å, α = 90.00°, β = 90.00° and γ = 90.00°. The inequivalent atoms are Sm at (0.000, 0.000, 0.500) and Tm at (0.500, 0.500, 0.500).


# 8
Entry from the Materials Project database: a geometry-optimized SmTmZn2 structure (GGA-PBE).

Its energy of formation from the pure elements is -335 meV per atom.

It has space group Fm-3m (No. 225), with a = 7.170 Å, b = 7.170 Å, c = 7.170 Å, α = 90.00°, β = 90.00° and γ = 90.00°. The inequivalent atoms are Sm at (0.000, 0.000, 0.000), Tm at (0.000, 0.000, 0.500) and Zn at (0.250, 0.250, 0.250).


# 9
Entry from the Materials Project database: a geometry-optimized Sm3V structure (GGA-PBE).

Its energy of formation from the pure elements is 367 meV per atom.

It has space group Fm-3m (No. 225), with a = 7.723 Å, b = 7.723 Å, c = 7.723 Å, α = 90.00°, β = 90.00° and γ = 90.00°. The inequivalent atoms are Sm at (0.000, 0.000, 0.000), Sm at (0.250, 0.250, 0.250) and V at (0.000, 0.000, 0.500).


# 10
Entry from the Materials Project database: a geometry-optimized Sm3Y structure (GGA-PBE).

Its energy of formation from the pure elements is 20 meV per atom.

It has space group P6_3/mmc (No. 194), with a = 7.3452 Å, b = 7.3452 Å, c = 5.8189 Å, α = 90.00°, β = 90.00° and γ = 120.00°. The inequivalent atoms are Sm at (0.1666, 0.3332, 0.2500) and Y at (0.3333, 0.6667, 0.7500).


# 11
Entry from the Materials Project database: a geometry-optimized SmYZn2 structure (GGA-PBE).

Its energy of formation from the pure elements is -345 meV per atom.

It has space group Fm-3m (No. 225), with a = 7.233 Å, b = 7.233 Å, c = 7.233 Å, α = 90.00°, β = 90.00° and γ = 90.00°. The inequivalent atoms are Sm at (0.000, 0.000, 0.000), Y at (0.000, 0.000, 0.500) and Zn at (0.250, 0.250, 0.250).


# 12
Entry from the Materials Project database: a geometry-optimized Sm3Zn11 structure (GGA-PBE).

Its energy of formation from the pure elements is -339 meV per atom.

It has space group Immm (No. 71), with a = 4.442 Å, b = 8.981 Å, c = 13.071 Å, α = 90.00°, β = 90.00° and γ = 90.00°. The inequivalent atoms are Sm at (0.000, 0.000, 0.000), Sm at (0.000, 0.000, 0.300), Zn at (0.000, 0.192, 0.500), Zn at (0.000, 0.278, 0.138), Zn at (0.000, 0.361, 0.339) and Zn at (0.000, 0.500, 0.000).